Compound: Sm2TeO6
Source: the Materials Project
Functional: r²SCAN
Structure: optimized geometry

Properties
The total energy is -583.1 eV/cell. For the energy above the most stable polymorph in this dataset, the calculation gives 0.00 eV per formula unit. The space-group type is P2_12_12_1.

Structure (extended XYZ):
```
36
Lattice="5.375 0.000 0.000 0.000 9.235 0.000 0.000 0.000 10.098" Properties=species:S:1:pos:R:3 pbc="T T T"
Sm 0.133 0.962 4.646
Sm 0.186 2.006 8.719
Sm 2.501 7.229 3.670
Sm 2.555 8.273 9.695
Sm 2.820 3.656 5.452
Sm 2.874 2.611 1.379
Sm 5.188 6.624 6.428
Sm 5.242 5.579 0.403
Te 0.222 4.575 3.587
Te 2.465 4.660 8.636
Te 2.910 0.042 6.511
Te 5.152 9.193 1.462
O 0.396 7.843 0.247
O 0.897 8.747 2.929
O 0.979 5.890 2.437
O 1.018 5.900 8.307
O 1.199 1.038 0.675
O 1.329 5.408 4.969
O 1.359 3.827 10.018
O 1.488 8.197 5.724
O 1.670 3.335 3.258
O 1.708 3.345 7.486
O 1.790 0.488 7.978
O 2.292 1.392 5.296
O 3.083 6.009 9.851
O 3.584 5.105 7.169
O 3.667 7.962 7.660
O 3.705 7.952 1.791
O 3.886 3.580 9.423
O 4.016 8.445 5.129
O 4.046 0.790 0.080
O 4.176 5.655 4.374
O 4.357 1.283 6.840
O 4.395 1.273 2.612
O 4.478 4.130 2.120
O 4.979 3.226 4.802
```